Record 1
DFT (GGA+U) results for a relaxed TiV3Cu2P6O24 crystal. Values from VASP.

The structure in Quantum ESPRESSO input format:
```
&SYSTEM
  ibrav = 0, nat = 36, ntyp = 5
/
ATOMIC_SPECIES
Ti 47.87 Ti.upf
V 50.94 V.upf
Cu 63.55 Cu.upf
P 30.97 P.upf
O 16.00 O.upf
ATOMIC_POSITIONS crystal
Ti 0.8576 0.8576 0.8576
V 0.3575 0.3575 0.3575
V 0.1427 0.1427 0.1427
V 0.6426 0.6426 0.6426
Cu 0.9991 0.9991 0.9991
Cu 0.5001 0.5001 0.5001
P 0.7500 0.0401 0.4590
P 0.0401 0.4590 0.7500
P 0.4590 0.7500 0.0401
P 0.5385 0.2517 0.9606
P 0.9606 0.5385 0.2517
P 0.2517 0.9606 0.5385
O 0.8770 0.4949 0.6972
O 0.4949 0.6972 0.8770
O 0.6972 0.8770 0.4949
O 0.9177 0.0591 0.2688
O 0.8026 0.9999 0.6252
O 0.5829 0.2314 0.4417
O 0.0591 0.2688 0.9177
O 0.2314 0.4417 0.5829
O 0.3764 0.1979 0.9956
O 0.4417 0.5829 0.2314
O 0.7294 0.0843 0.9418
O 0.9956 0.3764 0.1979
O 0.9999 0.6252 0.8026
O 0.2688 0.9177 0.0591
O 0.5575 0.4189 0.7689
O 0.6252 0.8026 0.9999
O 0.7689 0.5575 0.4189
O 0.9418 0.7294 0.0843
O 0.4189 0.7689 0.5575
O 0.1979 0.9956 0.3764
O 0.0843 0.9418 0.7294
O 0.3052 0.1232 0.5033
O 0.5033 0.3052 0.1232
O 0.1232 0.5033 0.3052
CELL_PARAMETERS angstrom
-4.7225 6.4857 3.1950
-8.2847 0.8478 -2.2843
-6.2517 -1.6211 5.7325
```

Output
crystal system	trigonal
SG	R3 (146)

Record 2
DFT (GGA+U) results for a relaxed Mn3O2F4 crystal. Values from VASP.

The structure in Quantum ESPRESSO input format:
```
&SYSTEM
  ibrav = 0, nat = 18, ntyp = 3
/
ATOMIC_SPECIES
Mn 54.94 Mn.upf
O 16.00 O.upf
F 19.00 F.upf
ATOMIC_POSITIONS crystal
Mn 0.9807 0.0090 0.9654
Mn 0.0194 0.6577 0.0345
Mn 0.4802 0.1580 0.5366
Mn 0.5198 0.5086 0.4634
Mn 0.5000 0.8333 0.5000
Mn 0.0000 0.3333 0.0001
O 0.8269 0.5020 0.1969
O 0.3254 0.6600 0.2956
O 0.6746 0.0066 0.7044
O 0.1731 0.1647 0.8032
F 0.7672 0.1699 0.2218
F 0.2643 0.0021 0.2787
F 0.7357 0.6645 0.7213
F 0.2328 0.4968 0.7783
F 0.8101 0.8471 0.1787
F 0.3068 0.3197 0.3187
F 0.6932 0.3469 0.6813
F 0.1902 0.8196 0.8211
CELL_PARAMETERS angstrom
-0.0029 4.6646 -0.0060
0.2190 -0.0121 9.7751
4.7828 -0.0030 0.1086
```

Output
crystal system	triclinic
polymorph energy (0 for the lowest one)	9	meV per atom
SG	P-1 (2)

no.,total magnetization (μB per formula unit),E_form (eV/atom)
1,3.0,-2.541
2,13.0,-2.532